Entry 1:
ZrNbO4 | PBE-GGA | relaxed

Cell and atoms, written as POSCAR:
```
ZrNbO4
1.0
5.3245 3.4790 0.0000
-5.3245 3.4790 0.0000
0.0000 3.4735 3.7960
Zr Nb O
2 2 8
direct
0.6316 0.3684 0.7500
0.3684 0.6316 0.2500
0.1030 0.8970 0.7500
0.8970 0.1030 0.2500
0.2908 0.2298 0.2586
0.2298 0.2908 0.7586
0.9559 0.3833 0.3547
0.3833 0.9559 0.8547
0.6167 0.0441 0.1453
0.0441 0.6167 0.6453
0.7702 0.7092 0.2414
0.7092 0.7702 0.7414
```

Computed properties:
MP2020-corrected energy = -9.660 eV per atom

=====

Entry 2:
Nb3Os2 | PBE-GGA | relaxed

Cell and atoms, written as POSCAR:
```
Nb3Os2
1.0
7.0213 -7.0501 0.0000
7.0213 7.0501 0.0000
0.0000 0.0000 5.0926
Nb Os
18 12
direct
0.8951 0.8951 0.4977
0.1049 0.1049 0.4977
0.6020 0.3980 0.0051
0.3980 0.6020 0.0051
0.6277 0.9622 0.4993
0.3723 0.0378 0.4993
0.8714 0.4657 0.9977
0.1286 0.5343 0.9977
0.0378 0.3723 0.4993
0.9622 0.6277 0.4993
0.5343 0.1286 0.9977
0.4657 0.8714 0.9977
0.8190 0.1810 0.2498
0.1810 0.8190 0.2498
0.3200 0.3200 0.2477
0.6800 0.6800 0.2477
0.1810 0.8190 0.7497
0.8190 0.1810 0.7497
0.5000 0.5000 0.5223
0.0000 0.0000 0.9987
0.5648 0.2445 0.4996
0.4352 0.7555 0.4996
0.9289 0.7422 0.9981
0.0711 0.2578 0.9981
0.7555 0.4352 0.4996
0.2445 0.5648 0.4996
0.2578 0.0711 0.9981
0.7422 0.9289 0.9981
0.6809 0.6809 0.7499
0.3191 0.3191 0.7499
```

Computed properties:
calculated total energy = -10.791 eV per atom

=====

Entry 3:
NbOs3 | PBE-GGA | relaxed

Cell and atoms, written as POSCAR:
```
NbOs3
1.0
1.3905 -2.4084 0.0000
1.3905 2.4084 0.0000
0.0000 0.0000 9.1229
Nb Os
1 3
direct
0.6667 0.3333 0.0000
0.6667 0.3333 0.5000
0.3333 0.6667 0.2658
0.3333 0.6667 0.7342
```

Computed properties:
calculated total energy = -10.906 eV per atom

=====

Entry 4:
NbOs3 | PBE-GGA | relaxed

Cell and atoms, written as POSCAR:
```
NbOs3
1.0
-1.0016 1.9389 3.2776
-3.7491 0.0921 -1.2002
-0.6676 -3.4260 1.8227
Nb Os
1 3
direct
0.0000 0.0000 0.0000
0.0000 0.5000 0.5000
0.5000 0.0000 0.5000
0.5000 0.5000 0.0000
```

Computed properties:
calculated total energy = -11.013 eV per atom

=====

Entry 5:
Ta2NbOs | PBE-GGA | relaxed

Cell and atoms, written as POSCAR:
```
Ta2NbOs
1.0
-0.2272 -4.4514 1.0475
-1.1220 -1.2986 4.2448
-4.0604 -1.9601 0.7964
Ta Nb Os
2 1 1
direct
0.2500 0.2500 0.2500
0.7500 0.7500 0.7500
0.5000 0.5000 0.5000
0.0000 0.0000 0.0000
```

Computed properties:
calculated total energy = -11.573 eV per atom

=====

Entry 6:
Nb2TcOs | PBE-GGA | relaxed

Cell and atoms, written as POSCAR:
```
Nb2TcOs
1.0
-4.1769 -0.7708 1.5520
-1.9746 2.9899 2.7587
-3.4614 2.5031 -1.4842
Nb Tc Os
2 1 1
direct
0.2500 0.2500 0.2500
0.7500 0.7500 0.7500
0.0000 0.0000 0.0000
0.5000 0.5000 0.5000
```

Computed properties:
calculated total energy = -10.701 eV per atom

=====

Entry 7:
NbTe4Os | PBE-GGA | relaxed

Cell and atoms, written as POSCAR:
```
NbTe4Os
1.0
3.7789 0.0000 0.0000
0.0000 12.6173 0.0000
0.0000 0.0000 13.6579
Nb Te Os
4 16 4
direct
0.5000 0.9411 0.5059
0.0000 0.0589 0.0059
0.5000 0.7246 0.9895
0.0000 0.2754 0.4895
0.5000 0.9335 0.8951
0.0000 0.0665 0.3951
0.5000 0.8029 0.3543
0.0000 0.1971 0.8543
0.5000 0.6523 0.5912
0.0000 0.3477 0.0912
0.5000 0.5832 0.1375
0.0000 0.4168 0.6375
0.5000 0.4349 0.8999
0.0000 0.5651 0.3999
0.5000 0.3247 0.3475
0.0000 0.6753 0.8475
0.5000 0.1499 0.6034
0.0000 0.8501 0.1034
0.5000 0.1089 0.1476
0.0000 0.8911 0.6476
0.5000 0.4551 0.5027
0.0000 0.5449 0.0027
0.5000 0.2369 0.9893
0.0000 0.7631 0.4893
```

Computed properties:
calculated total energy = -5.922 eV per atom

=====

Entry 8:
TmNbOs2 | PBE-GGA | relaxed

Cell and atoms, written as POSCAR:
```
TmNbOs2
1.0
0.0010 -2.4542 3.9170
-2.1545 1.6314 3.7500
-3.8984 -1.9964 1.4775
Tm Nb Os
1 1 2
direct
0.5000 0.5000 0.5000
0.0000 0.0000 0.0000
0.7500 0.7500 0.7500
0.2500 0.2500 0.2500
```

Computed properties:
calculated total energy = -9.497 eV per atom